Record 1
VASP calculation (PBE with a Hubbard U) on a relaxed Nb6Ni6O crystal. Values from VASP.

Properties
magnetic moment	0.039	μB per atom
crystal system	cubic
total DFT energy (no corrections)	-5.9830	eV/atom

The structure in Quantum ESPRESSO input format:
```
&SYSTEM
  ibrav = 0, nat = 26, ntyp = 3
/
ATOMIC_SPECIES
Nb 92.91 Nb.upf
Ni 58.69 Ni.upf
O 16.00 O.upf
CELL_PARAMETERS angstrom
0.0000 5.5755 5.5755
5.5755 0.0000 5.5755
5.5755 5.5755 0.0000
ATOMIC_POSITIONS crystal
Nb 0.0748 0.0748 0.6752
Nb 0.0748 0.6752 0.0748
Nb 0.0748 0.6752 0.6752
Nb 0.3248 0.3248 0.9252
Nb 0.3248 0.9252 0.3248
Nb 0.3248 0.9252 0.9252
Nb 0.6752 0.0748 0.0748
Nb 0.6752 0.0748 0.6752
Nb 0.6752 0.6752 0.0748
Nb 0.9252 0.3248 0.3248
Nb 0.9252 0.3248 0.9252
Nb 0.9252 0.9252 0.3248
Ni 0.0000 0.5000 0.5000
Ni 0.2939 0.2939 0.2939
Ni 0.2939 0.2939 0.6183
Ni 0.2939 0.6183 0.2939
Ni 0.3817 0.7061 0.7061
Ni 0.5000 0.0000 0.5000
Ni 0.5000 0.5000 0.0000
Ni 0.5000 0.5000 0.5000
Ni 0.6183 0.2939 0.2939
Ni 0.7061 0.3817 0.7061
Ni 0.7061 0.7061 0.3817
Ni 0.7061 0.7061 0.7061
O 0.1250 0.1250 0.1250
O 0.8750 0.8750 0.8750
```

Record 2
VASP calculation (PBE with a Hubbard U) on a relaxed CrHg3S2O4 crystal. Values from VASP.

Properties
magnetic moment	0.000	μB per atom
crystal system	monoclinic
total DFT energy (no corrections)	-4.2866	eV/atom

The structure in Quantum ESPRESSO input format:
```
&SYSTEM
  ibrav = 0, nat = 40, ntyp = 4
/
ATOMIC_SPECIES
Cr 52.00 Cr.upf
Hg 200.59 Hg.upf
S 32.06 S.upf
O 16.00 O.upf
CELL_PARAMETERS angstrom
7.7170 0.0000 0.0000
0.0000 15.3318 0.0000
-3.7995 0.0000 6.7257
ATOMIC_POSITIONS crystal
Cr 0.1209 0.0975 0.3950
Cr 0.1209 0.4025 0.8950
Cr 0.8791 0.5975 0.1050
Cr 0.8791 0.9025 0.6050
Hg 0.0993 0.1638 0.8913
Hg 0.0993 0.3362 0.3913
Hg 0.3282 0.5442 0.6296
Hg 0.3282 0.9558 0.1296
Hg 0.3894 0.6371 0.0792
Hg 0.3894 0.8629 0.5792
Hg 0.6106 0.1371 0.4208
Hg 0.6106 0.3629 0.9208
Hg 0.6718 0.0442 0.8704
Hg 0.6718 0.4558 0.3704
Hg 0.9007 0.6638 0.6087
Hg 0.9007 0.8362 0.1087
S 0.2576 0.6833 0.7376
S 0.2576 0.8167 0.2376
S 0.4317 0.1000 0.0708
S 0.4317 0.4000 0.5708
S 0.5683 0.6000 0.4292
S 0.5683 0.9000 0.9292
S 0.7424 0.1833 0.7624
S 0.7424 0.3167 0.2624
O 0.0055 0.6248 0.9894
O 0.0055 0.8752 0.4894
O 0.0170 0.5372 0.3063
O 0.0170 0.9628 0.8063
O 0.1898 0.1893 0.3246
O 0.1898 0.3107 0.8246
O 0.3251 0.0398 0.5430
O 0.3251 0.4602 0.0430
O 0.6749 0.5398 0.9570
O 0.6749 0.9602 0.4570
O 0.8102 0.6893 0.1754
O 0.8102 0.8107 0.6754
O 0.9830 0.0372 0.1937
O 0.9830 0.4628 0.6937
O 0.9945 0.1248 0.5106
O 0.9945 0.3752 0.0106
```

Record 3
VASP calculation (PBE with a Hubbard U) on a relaxed Cu3NiC2O10 crystal. Values from VASP.

Properties
magnetic moment	0.002	μB per atom
crystal system	monoclinic
total DFT energy (no corrections)	-5.8206	eV/atom

The structure in Quantum ESPRESSO input format:
```
&SYSTEM
  ibrav = 0, nat = 32, ntyp = 4
/
ATOMIC_SPECIES
Cu 63.55 Cu.upf
Ni 58.69 Ni.upf
C 12.01 C.upf
O 16.00 O.upf
CELL_PARAMETERS angstrom
3.0328 0.0000 0.0000
0.0000 8.9594 0.0000
-1.3861 0.0000 12.2784
ATOMIC_POSITIONS crystal
Cu 0.0160 0.0000 0.0334
Cu 0.4522 0.7698 0.8675
Cu 0.4792 0.0006 0.4650
Cu 0.5208 0.5006 0.5350
Cu 0.5478 0.2698 0.1325
Cu 0.9840 0.5000 0.9666
Ni 0.0376 0.2349 0.6308
Ni 0.9624 0.7349 0.3692
C 0.2391 0.7768 0.6172
C 0.2663 0.2265 0.8782
C 0.7337 0.7265 0.1218
C 0.7609 0.2768 0.3828
O 0.0357 0.3936 0.0968
O 0.0534 0.1372 0.1531
O 0.1277 0.8449 0.5220
O 0.1374 0.1587 0.7922
O 0.1889 0.6312 0.6170
O 0.3312 0.3718 0.8832
O 0.3619 0.8497 0.7011
O 0.3653 0.1544 0.9718
O 0.4500 0.8707 0.3451
O 0.4752 0.6071 0.4066
O 0.5248 0.1071 0.5934
O 0.5500 0.3707 0.6549
O 0.6347 0.6544 0.0282
O 0.6381 0.3497 0.2989
O 0.6688 0.8718 0.1168
O 0.8111 0.1312 0.3830
O 0.8626 0.6587 0.2078
O 0.8723 0.3449 0.4780
O 0.9466 0.6372 0.8469
O 0.9643 0.8936 0.9032
```

Record 4
VASP calculation (PBE with a Hubbard U) on a relaxed KFeC6N3O3 crystal. Values from VASP.

Properties
magnetic moment	0.000	μB per atom
crystal system	trigonal
total DFT energy (no corrections)	-7.4319	eV/atom

The structure in Quantum ESPRESSO input format:
```
&SYSTEM
  ibrav = 0, nat = 28, ntyp = 5
/
ATOMIC_SPECIES
K 39.10 K.upf
Fe 55.84 Fe.upf
C 12.01 C.upf
N 14.01 N.upf
O 16.00 O.upf
CELL_PARAMETERS angstrom
3.6008 2.0789 12.4645
-3.6008 2.0789 12.4645
0.0000 -4.1578 12.4645
ATOMIC_POSITIONS crystal
K 0.1670 0.1670 0.1670
K 0.8330 0.8330 0.8330
Fe 0.4054 0.4054 0.4054
Fe 0.5946 0.5946 0.5946
C 0.1586 0.5981 0.3862
C 0.2230 0.4350 0.6524
C 0.3476 0.7770 0.5650
C 0.3862 0.1586 0.5981
C 0.4019 0.6138 0.8414
C 0.4350 0.6524 0.2230
C 0.5650 0.3476 0.7770
C 0.5981 0.3862 0.1586
C 0.6138 0.8414 0.4019
C 0.6524 0.2230 0.4350
C 0.7770 0.5650 0.3476
C 0.8414 0.4019 0.6138
N 0.1122 0.4538 0.8011
N 0.1989 0.8878 0.5462
N 0.4538 0.8011 0.1122
N 0.5462 0.1989 0.8878
N 0.8011 0.1122 0.4538
N 0.8878 0.5462 0.1989
O 0.0004 0.2763 0.6223
O 0.9996 0.7237 0.3777
O 0.2763 0.6223 0.0004
O 0.3777 0.9996 0.7237
O 0.6223 0.0004 0.2763
O 0.7237 0.3777 0.9996
```

Record 5
VASP calculation (PBE with a Hubbard U) on a relaxed FeTeP2O8 crystal. Values from VASP.

Properties
magnetic moment	0.000	μB per atom
total DFT energy (no corrections)	-6.7272	eV/atom

The structure in Quantum ESPRESSO input format:
```
&SYSTEM
  ibrav = 0, nat = 48, ntyp = 4
/
ATOMIC_SPECIES
O 16.00 O.upf
P 30.97 P.upf
Te 127.60 Te.upf
Fe 55.84 Fe.upf
CELL_PARAMETERS angstrom
0.0053 6.7157 -0.0123
-0.6095 -0.0189 9.7792
10.0096 0.0091 -0.6295
ATOMIC_POSITIONS crystal
O 0.7493 0.1569 0.8989
O 0.9275 0.3646 0.3195
O 0.4272 0.6369 0.6801
O 0.9276 0.8647 0.3195
O 0.7490 0.1013 0.3736
O 0.5677 0.8738 0.8394
O 0.0723 0.1352 0.6805
O 0.5677 0.3738 0.8394
O 0.7490 0.6014 0.3736
O 0.2511 0.8986 0.6263
O 0.5727 0.8632 0.3200
O 0.7495 0.6570 0.8988
O 0.2502 0.8431 0.1013
O 0.2500 0.0637 0.4539
O 0.2517 0.1323 0.9353
O 0.7499 0.4363 0.5461
O 0.0724 0.6352 0.6805
O 0.9301 0.8755 0.8399
O 0.2518 0.6323 0.9352
O 0.5727 0.3633 0.3200
O 0.4317 0.1260 0.1608
O 0.2501 0.5637 0.4539
O 0.7499 0.9363 0.5461
O 0.4272 0.1368 0.6800
O 0.9301 0.3755 0.8399
O 0.0694 0.1245 0.1601
O 0.0698 0.6245 0.1601
O 0.7482 0.8677 0.0648
O 0.7482 0.3677 0.0648
O 0.2502 0.3431 0.1013
O 0.4322 0.6262 0.1606
O 0.2511 0.3987 0.6264
P 0.2498 0.5502 0.6018
P 0.7492 0.3139 0.9104
P 0.7493 0.8140 0.9104
P 0.2504 0.1860 0.0896
P 0.2506 0.6860 0.0896
P 0.7502 0.9498 0.3982
P 0.7501 0.4498 0.3982
P 0.2497 0.0502 0.6018
Te 0.7485 0.2181 0.2016
Te 0.2518 0.2819 0.7984
Te 0.2519 0.7819 0.7984
Te 0.7486 0.7181 0.2015
Fe 0.2477 0.9810 0.2648
Fe 0.2484 0.4809 0.2648
Fe 0.7531 0.5192 0.7352
Fe 0.7532 0.0192 0.7351
```

Record 6
VASP calculation (PBE with a Hubbard U) on a relaxed Li2MnVP3O12 crystal. Values from VASP.

Properties
magnetic moment	0.263	μB per atom
crystal system	triclinic
total DFT energy (no corrections)	-7.1149	eV/atom
energy above the most stable polymorph in this dataset	0.014	eV per atom

The structure in Quantum ESPRESSO input format:
```
&SYSTEM
  ibrav = 0, nat = 38, ntyp = 5
/
ATOMIC_SPECIES
Li 6.94 Li.upf
Mn 54.94 Mn.upf
V 50.94 V.upf
P 30.97 P.upf
O 16.00 O.upf
CELL_PARAMETERS angstrom
8.3084 0.0000 0.0000
4.0565 7.2544 0.0000
4.1095 -2.1283 7.6667
ATOMIC_POSITIONS crystal
Li 0.0000 0.0000 0.0000
Li 0.0269 0.2425 0.4957
Li 0.2136 0.6076 0.7269
Li 0.3396 0.4122 0.0082
Mn 0.1122 0.8284 0.3033
Mn 0.6792 0.5355 0.4354
V 0.0837 0.3356 0.8292
V 0.6970 0.0173 0.9102
P 0.1846 0.9401 0.6212
P 0.1892 0.1317 0.1175
P 0.5982 0.2236 0.6230
P 0.6157 0.4172 0.1174
P 0.8943 0.7191 0.1206
P 0.8952 0.6491 0.6159
O 0.0021 0.8170 0.1415
O 0.0082 0.2800 0.2910
O 0.0221 0.8972 0.7700
O 0.0315 0.6754 0.4433
O 0.0475 0.5233 0.6835
O 0.0864 0.5296 0.9699
O 0.1016 0.1572 0.6756
O 0.1212 0.1576 0.9776
O 0.1762 0.9293 0.4540
O 0.2586 0.9260 0.1303
O 0.3824 0.1577 0.0530
O 0.3861 0.2256 0.6944
O 0.3985 0.8048 0.6043
O 0.4037 0.5419 0.1231
O 0.5291 0.4327 0.6116
O 0.5919 0.4589 0.2945
O 0.6483 0.2027 0.7757
O 0.7057 0.2011 0.0530
O 0.7123 0.8447 0.7564
O 0.7442 0.8533 0.0541
O 0.7670 0.6834 0.2868
O 0.7842 0.0746 0.4567
O 0.7887 0.4572 0.9778
O 0.8037 0.5386 0.5857
```

Record 7
VASP calculation (PBE with a Hubbard U) on a relaxed Sr5MnFe4O10 crystal. Values from VASP.

Properties
magnetic moment	0.001	μB per atom
crystal system	orthorhombic
total DFT energy (no corrections)	-6.4819	eV/atom
energy above the most stable polymorph in this dataset	0.000	eV per atom

The structure in Quantum ESPRESSO input format:
```
&SYSTEM
  ibrav = 0, nat = 40, ntyp = 4
/
ATOMIC_SPECIES
Sr 87.62 Sr.upf
Mn 54.94 Mn.upf
Fe 55.84 Fe.upf
O 16.00 O.upf
CELL_PARAMETERS angstrom
0.0000 4.0723 20.2681
3.4848 0.0000 20.2681
3.4848 4.0723 0.0000
ATOMIC_POSITIONS crystal
Sr 0.0000 0.0000 0.5000
Sr 0.0993 0.0993 0.4007
Sr 0.1997 0.1997 0.3003
Sr 0.2997 0.2997 0.2003
Sr 0.3996 0.3996 0.1004
Sr 0.5000 0.5000 0.0000
Sr 0.5993 0.5993 0.9007
Sr 0.6997 0.6997 0.8003
Sr 0.7997 0.7997 0.7003
Sr 0.8996 0.8996 0.6004
Mn 0.0497 0.0497 0.9503
Mn 0.5497 0.5497 0.4503
Fe 0.1495 0.1495 0.8505
Fe 0.2497 0.2497 0.7503
Fe 0.3496 0.3496 0.6504
Fe 0.4495 0.4495 0.5505
Fe 0.6498 0.6498 0.3502
Fe 0.7496 0.7496 0.2504
Fe 0.8495 0.8495 0.1505
Fe 0.9500 0.9500 0.0500
O 0.0010 0.0010 0.9990
O 0.0985 0.0985 0.9015
O 0.1000 0.5992 0.4008
O 0.1980 0.7015 0.2985
O 0.1997 0.1997 0.8003
O 0.2876 0.8119 0.1881
O 0.2996 0.2996 0.7004
O 0.3969 0.9023 0.0977
O 0.3997 0.3997 0.6003
O 0.4991 0.4991 0.5009
O 0.4998 0.9994 0.0006
O 0.5992 0.1000 0.9000
O 0.6005 0.6005 0.3995
O 0.6995 0.6995 0.3005
O 0.7015 0.1980 0.8020
O 0.7996 0.7996 0.2004
O 0.8119 0.2876 0.7124
O 0.8996 0.8996 0.1004
O 0.9023 0.3969 0.6031
O 0.9994 0.4998 0.5002
```

Record 8
VASP calculation (PBE with a Hubbard U) on a relaxed Na2FeO3 crystal. Values from VASP.

Properties
crystal system	triclinic
total DFT energy (no corrections)	-5.2303	eV/atom
energy above the most stable polymorph in this dataset	0.015	eV per atom

The structure in Quantum ESPRESSO input format:
```
&SYSTEM
  ibrav = 0, nat = 24, ntyp = 3
/
ATOMIC_SPECIES
Na 22.99 Na.upf
Fe 55.84 Fe.upf
O 16.00 O.upf
CELL_PARAMETERS angstrom
5.6517 0.0000 0.0000
-1.9832 5.2956 0.0000
-1.8173 -2.6520 9.0384
ATOMIC_POSITIONS crystal
Na 0.0000 0.0000 0.0000
Na 0.0747 0.5744 0.1463
Na 0.1593 0.1593 0.3171
Na 0.3240 0.3251 0.6463
Na 0.5870 0.0864 0.1707
Na 0.7499 0.2517 0.4999
Na 0.8340 0.8356 0.6707
Na 0.9114 0.4082 0.8171
Fe 0.2466 0.7445 0.4870
Fe 0.4128 0.9223 0.8298
Fe 0.4960 0.4976 0.9871
Fe 0.6681 0.6667 0.3300
O 0.1399 0.6411 0.6589
O 0.2195 0.1912 0.8489
O 0.2801 0.7528 0.9676
O 0.3908 0.3905 0.1581
O 0.4041 0.8847 0.3489
O 0.5026 0.5284 0.4676
O 0.5220 0.0233 0.6581
O 0.6375 0.6496 0.8495
O 0.6947 0.2123 0.9678
O 0.7740 0.7736 0.1590
O 0.9445 0.4693 0.3493
O 0.9626 0.9445 0.4681
```

Record 9
VASP calculation (PBE with a Hubbard U) on a relaxed Sr2MnNbO6 crystal. Values from VASP.

Properties
magnetic moment	0.000	μB per atom
crystal system	triclinic
total DFT energy (no corrections)	-7.6448	eV/atom

The structure in Quantum ESPRESSO input format:
```
&SYSTEM
  ibrav = 0, nat = 40, ntyp = 4
/
ATOMIC_SPECIES
Sr 87.62 Sr.upf
Mn 54.94 Mn.upf
Nb 92.91 Nb.upf
O 16.00 O.upf
CELL_PARAMETERS angstrom
5.6755 0.0000 0.0000
-2.6578 9.4306 0.0000
-0.1984 -1.6576 9.8022
ATOMIC_POSITIONS crystal
Sr 0.0000 0.0000 0.0000
Sr 0.1232 0.2488 0.3746
Sr 0.2478 0.5002 0.7515
Sr 0.3724 0.7486 0.1258
Sr 0.4990 0.0001 0.4999
Sr 0.6234 0.2486 0.8745
Sr 0.7485 0.5001 0.2513
Sr 0.8712 0.7489 0.6260
Mn 0.1861 0.3745 0.0631
Mn 0.4357 0.8745 0.8128
Mn 0.6858 0.3745 0.5629
Mn 0.9353 0.8743 0.3127
Nb 0.0683 0.1246 0.6799
Nb 0.3024 0.6244 0.4457
Nb 0.5689 0.1244 0.1799
Nb 0.8035 0.6243 0.9457
O 0.0160 0.0072 0.4836
O 0.1006 0.7535 0.8943
O 0.1041 0.7493 0.3868
O 0.1399 0.2547 0.8532
O 0.2322 0.4947 0.2719
O 0.2634 0.9985 0.7394
O 0.2738 0.9939 0.2313
O 0.3563 0.7423 0.6414
O 0.3810 0.2493 0.1109
O 0.3896 0.2412 0.6079
O 0.4832 0.5069 0.0171
O 0.4895 0.4992 0.5147
O 0.5165 0.0071 0.9837
O 0.5976 0.7544 0.3935
O 0.6081 0.7502 0.8860
O 0.6399 0.2546 0.3532
O 0.7329 0.4945 0.7719
O 0.7669 0.9994 0.2386
O 0.7714 0.9952 0.7306
O 0.8560 0.7422 0.1413
O 0.8826 0.2503 0.6107
O 0.8889 0.2418 0.1078
O 0.9822 0.5071 0.5170
O 0.9905 0.4992 0.0147
```

Record 10
VASP calculation (PBE with a Hubbard U) on a relaxed La2MgFeO6 crystal. Values from VASP.

Properties
magnetic moment	0.000	μB per atom
crystal system	triclinic
total DFT energy (no corrections)	-7.3298	eV/atom

The structure in Quantum ESPRESSO input format:
```
&SYSTEM
  ibrav = 0, nat = 20, ntyp = 4
/
ATOMIC_SPECIES
La 138.91 La.upf
Mg 24.30 Mg.upf
Fe 55.84 Fe.upf
O 16.00 O.upf
CELL_PARAMETERS angstrom
5.5311 0.0000 0.0000
-0.2203 5.7098 0.0000
-0.0338 -0.1792 7.8125
ATOMIC_POSITIONS crystal
La 0.0014 0.4935 0.2514
La 0.4991 0.0066 0.2481
La 0.5009 0.9934 0.7519
La 0.9986 0.5065 0.7486
Mg 0.0000 0.0000 0.5000
Mg 0.5000 0.5000 0.0000
Fe 0.0000 0.0000 0.0000
Fe 0.5000 0.5000 0.5000
O 0.0273 0.9412 0.7600
O 0.2064 0.7041 0.0399
O 0.2086 0.3117 0.5091
O 0.2902 0.1894 0.9906
O 0.2948 0.7972 0.4605
O 0.4726 0.5587 0.7397
O 0.5274 0.4413 0.2603
O 0.7052 0.2028 0.5395
O 0.7098 0.8106 0.0094
O 0.7914 0.6883 0.4909
O 0.7936 0.2959 0.9601
O 0.9727 0.0588 0.2400
```

Record 11
VASP calculation (PBE with a Hubbard U) on a relaxed Zn2Ni3O5 crystal. Values from VASP.

Properties
magnetic moment	0.200	μB per atom
crystal system	monoclinic
total DFT energy (no corrections)	-4.7261	eV/atom

The structure in Quantum ESPRESSO input format:
```
&SYSTEM
  ibrav = 0, nat = 10, ntyp = 3
/
ATOMIC_SPECIES
Zn 65.41 Zn.upf
Ni 58.69 Ni.upf
O 16.00 O.upf
CELL_PARAMETERS angstrom
4.7599 -2.1304 0.0000
4.7599 2.1304 0.0000
-4.7365 0.0000 4.7846
ATOMIC_POSITIONS crystal
Zn 0.0991 0.0991 0.2997
Zn 0.9009 0.9009 0.7003
Ni 0.2994 0.2994 0.9005
Ni 0.5000 0.5000 0.5000
Ni 0.7006 0.7006 0.0995
O 0.0000 0.0000 0.5000
O 0.2064 0.2064 0.1060
O 0.4056 0.4056 0.7073
O 0.5944 0.5944 0.2927
O 0.7936 0.7936 0.8940
```